(1)
BaCaBiSbO6 | PBE | relaxed

Values from the calculation:
* relative energy among the computed polymorphs: 105.6 meV/atom
* DFT formation energy: -2.33 eV per atom
* total magnetization: 0.00 μB/cell
* MP2020-corrected energy: -64.95 eV/cell
* space-group type: F-43m (216)

Cell lengths 6.0719, 6.0719, 6.0719 Å; angles 60.00, 60.00, 60.00 degrees
Element x y z (fractional)
Ba1 0.0000 0.0000 0.0000
Ca1 0.5000 0.5000 0.5000
Bi1 0.7500 0.7500 0.7500
Sb1 0.2500 0.2500 0.2500
O1 0.0165 0.0165 0.4835
O2 0.0165 0.4835 0.0165
O3 0.0165 0.4835 0.4835
O4 0.4835 0.0165 0.0165
O5 0.4835 0.0165 0.4835
O6 0.4835 0.4835 0.0165

(2)
BaCaSmBiO6 | PBE | relaxed

Values from the calculation:
* relative energy among the computed polymorphs: 0.0 meV/atom
* DFT formation energy: -2.77 eV per atom
* total magnetization: 0.00 μB/cell
* MP2020-corrected energy: -139.78 eV/cell
* space-group type: P-1 (2)

Cell lengths 6.0392, 6.1356, 8.6396 Å; angles 89.87, 89.64, 89.89 degrees
Element x y z (fractional)
Ba1 0.0062 0.0371 0.2495
Ba2 0.9938 0.9629 0.7505
Ca1 0.4896 0.5406 0.2473
Ca2 0.5104 0.4594 0.7527
Sm1 0.0000 0.5000 0.0000
Sm2 0.5000 0.0000 0.5000
Bi1 0.0000 0.5000 0.5000
Bi2 0.5000 0.0000 0.0000
O1 0.1171 0.5079 0.7385
O2 0.1980 0.7814 0.4585
O3 0.2156 0.8002 0.0334
O4 0.2875 0.3088 0.4342
O5 0.3150 0.2926 0.0612
O6 0.4290 0.0678 0.7605
O7 0.5710 0.9322 0.2395
O8 0.6850 0.7074 0.9388
O9 0.7125 0.6912 0.5658
O10 0.7844 0.1998 0.9666
O11 0.8020 0.2186 0.5415
O12 0.8829 0.4921 0.2615

(3)
BaCaSmBiO6 | PBE | relaxed

Values from the calculation:
* relative energy among the computed polymorphs: 2.3 meV/atom
* DFT formation energy: -2.76 eV per atom
* total magnetization: 0.00 μB/cell
* MP2020-corrected energy: -279.47 eV/cell
* space-group type: P222 (16)

Cell lengths 8.6126, 8.6249, 8.6456 Å; angles 90.00, 90.00, 90.00 degrees
Element x y z (fractional)
Ba1 0.0000 0.0000 0.0000
Ba2 0.0000 0.0000 0.5000
Ba3 0.0000 0.5000 0.0000
Ba4 0.5000 0.5000 0.5000
Ca1 0.0000 0.5000 0.5000
Ca2 0.5000 0.0000 0.0000
Ca3 0.5000 0.0000 0.5000
Ca4 0.5000 0.5000 0.0000
Sm1 0.2553 0.2516 0.7490
Sm2 0.2553 0.7484 0.2510
Sm3 0.7447 0.2516 0.2510
Sm4 0.7447 0.7484 0.7490
Bi1 0.2565 0.2494 0.2515
Bi2 0.2565 0.7506 0.7485
Bi3 0.7435 0.2494 0.7485
Bi4 0.7435 0.7506 0.2515
O1 0.0108 0.2766 0.2119
O2 0.0108 0.7234 0.7881
O3 0.2059 0.3096 0.4894
O4 0.2059 0.6904 0.5106
O5 0.2197 0.0080 0.2848
O6 0.2197 0.9920 0.7152
O7 0.3030 0.2018 0.0101
O8 0.3030 0.7982 0.9899
O9 0.3058 0.4888 0.1991
O10 0.3058 0.5112 0.8009
O11 0.4913 0.2068 0.3147
O12 0.4913 0.7932 0.6853
O13 0.5087 0.2068 0.6853
O14 0.5087 0.7932 0.3147
O15 0.6942 0.4888 0.8009
O16 0.6942 0.5112 0.1991
O17 0.6970 0.2018 0.9899
O18 0.6970 0.7982 0.0101
O19 0.7803 0.0080 0.7152
O20 0.7803 0.9920 0.2848
O21 0.7941 0.3096 0.5106
O22 0.7941 0.6904 0.4894
O23 0.9892 0.2766 0.7881
O24 0.9892 0.7234 0.2119

(4)
BaCaSmBiO6 | PBE | relaxed

Values from the calculation:
* relative energy among the computed polymorphs: 118.9 meV/atom
* DFT formation energy: -2.65 eV per atom
* total magnetization: 0.00 μB/cell
* MP2020-corrected energy: -68.70 eV/cell
* space-group type: F-43m (216)

Cell lengths 6.1750, 6.1750, 6.1750 Å; angles 60.00, 60.00, 60.00 degrees
Element x y z (fractional)
Ba1 0.0000 0.0000 0.0000
Ca1 0.5000 0.5000 0.5000
Sm1 0.2500 0.2500 0.2500
Bi1 0.7500 0.7500 0.7500
O1 0.5085 0.5085 0.9915
O2 0.5085 0.9915 0.5085
O3 0.5085 0.9915 0.9915
O4 0.9915 0.5085 0.5085
O5 0.9915 0.5085 0.9915
O6 0.9915 0.9915 0.5085

(5)
Ba2Cd3Bi4 | PBE | relaxed

Values from the calculation:
* DFT formation energy: -0.47 eV per atom
* space-group type: Cmce (64)

Cell lengths 9.5701, 9.5701, 9.4325 Å; angles 90.00, 90.00, 136.37 degrees
Element x y z (fractional)
Ba1 0.1164 0.8836 0.9225
Ba2 0.3836 0.6164 0.4225
Ba3 0.6164 0.3836 0.5775
Ba4 0.8836 0.1164 0.0775
Cd1 0.0000 0.0000 0.5000
Cd2 0.0284 0.4716 0.7500
Cd3 0.4716 0.0284 0.2500
Cd4 0.5000 0.5000 0.0000
Cd5 0.5284 0.9716 0.7500
Cd6 0.9716 0.5284 0.2500
Bi1 0.1853 0.8147 0.5513
Bi2 0.1974 0.3026 0.7500
Bi3 0.3026 0.1974 0.2500
Bi4 0.3147 0.6853 0.0513
Bi5 0.6853 0.3147 0.9487
Bi6 0.6974 0.8026 0.7500
Bi7 0.8026 0.6974 0.2500
Bi8 0.8147 0.1853 0.4487

(6)
BaNaCeBiO6 | PBE | relaxed

Values from the calculation:
* relative energy among the computed polymorphs: 18.5 meV/atom
* DFT formation energy: -2.56 eV per atom
* total magnetization: 0.00 μB/cell
* MP2020-corrected energy: -68.39 eV/cell
* space-group type: F-43m (216)

Cell lengths 6.1462, 6.1462, 6.1462 Å; angles 60.00, 60.00, 60.00 degrees
Element x y z (fractional)
Ba1 0.0000 0.0000 0.0000
Na1 0.5000 0.5000 0.5000
Ce1 0.7500 0.7500 0.7500
Bi1 0.2500 0.2500 0.2500
O1 0.0048 0.0048 0.4952
O2 0.0048 0.4952 0.0048
O3 0.0048 0.4952 0.4952
O4 0.4952 0.0048 0.0048
O5 0.4952 0.0048 0.4952
O6 0.4952 0.4952 0.0048

(7)
BaNaCeBiO6 | PBE | relaxed

Values from the calculation:
* relative energy among the computed polymorphs: 0.0 meV/atom
* DFT formation energy: -2.58 eV per atom
* total magnetization: 0.00 μB/cell
* MP2020-corrected energy: -274.28 eV/cell
* space-group type: Pnnn (48)

Cell lengths 8.6189, 8.6419, 8.6648 Å; angles 90.00, 90.00, 90.00 degrees
Element x y z (fractional)
Ba1 0.2500 0.2500 0.2500
Ba2 0.2500 0.2500 0.7500
Ba3 0.7500 0.7500 0.2500
Ba4 0.7500 0.7500 0.7500
Na1 0.2500 0.7500 0.2500
Na2 0.2500 0.7500 0.7500
Na3 0.7500 0.2500 0.2500
Na4 0.7500 0.2500 0.7500
Ce1 0.0000 0.0000 0.0000
Ce2 0.0000 0.5000 0.5000
Ce3 0.5000 0.0000 0.5000
Ce4 0.5000 0.5000 0.0000
Bi1 0.0000 0.0000 0.5000
Bi2 0.0000 0.5000 0.0000
Bi3 0.5000 0.0000 0.0000
Bi4 0.5000 0.5000 0.5000
O1 0.0200 0.7450 0.0400
O2 0.0200 0.7550 0.4600
O3 0.0301 0.5360 0.7554
O4 0.0301 0.9640 0.7446
O5 0.2454 0.0354 0.4795
O6 0.2454 0.4646 0.0205
O7 0.2546 0.0354 0.0205
O8 0.2546 0.4646 0.4795
O9 0.4699 0.5360 0.7446
O10 0.4699 0.9640 0.7554
O11 0.4800 0.7450 0.4600
O12 0.4800 0.7550 0.0400
O13 0.5200 0.2450 0.9600
O14 0.5200 0.2550 0.5400
O15 0.5301 0.0360 0.2446
O16 0.5301 0.4640 0.2554
O17 0.7454 0.5354 0.5205
O18 0.7454 0.9646 0.9795
O19 0.7546 0.5354 0.9795
O20 0.7546 0.9646 0.5205
O21 0.9699 0.0360 0.2554
O22 0.9699 0.4640 0.2446
O23 0.9800 0.2450 0.5400
O24 0.9800 0.2550 0.9600

(8)
Ba4Ce2BiO12 | PBE | relaxed

Values from the calculation:
* DFT formation energy: -2.71 eV per atom
* total magnetization: 1.21 μB/cell
* MP2020-corrected energy: -134.27 eV/cell
* space-group type: P-1 (2)

Cell lengths 6.1741, 6.2908, 8.8548 Å; angles 91.72, 90.44, 90.40 degrees
Element x y z (fractional)
Ba1 0.0120 0.0157 0.2736
Ba2 0.4759 0.5074 0.7211
Ba3 0.5241 0.4926 0.2789
Ba4 0.9880 0.9843 0.7264
Ce1 0.0000 0.5000 0.0000
Ce2 0.5000 0.0000 0.0000
Bi1 0.5000 0.0000 0.5000
O1 0.0082 0.4203 0.7792
O2 0.2358 0.7711 0.9471
O3 0.2498 0.7774 0.5247
O4 0.2715 0.2636 0.0511
O5 0.2773 0.2473 0.4741
O6 0.4945 0.9321 0.2525
O7 0.5055 0.0679 0.7475
O8 0.7227 0.7527 0.5259
O9 0.7285 0.7364 0.9489
O10 0.7502 0.2226 0.4753
O11 0.7642 0.2289 0.0529
O12 0.9918 0.5797 0.2208

> Which of these has the highest DFT formation energy?

Ba2Cd3Bi4